This record from the Materials Project describes a geometry-optimized Cu2P8Se3I2 structure. The functional is PBE.

Cell: 9.438 12.843 13.918 Å, 90.00 90.00 90.00°
Fractional positions:
Cu 0.002 0.872 0.250
Cu 0.998 0.372 0.250
Cu 0.807 0.082 0.250
Cu 0.998 0.128 0.750
Cu 0.002 0.628 0.750
Cu 0.807 0.418 0.750
Cu 0.193 0.918 0.750
Cu 0.193 0.582 0.250
P 0.232 0.831 0.613
P 0.077 0.696 0.609
P 0.442 0.745 0.079
P 0.077 0.804 0.109
P 0.183 0.924 0.480
P 0.442 0.755 0.921
P 0.077 0.696 0.891
P 0.558 0.255 0.921
P 0.558 0.255 0.579
P 0.768 0.169 0.387
P 0.817 0.424 0.480
P 0.232 0.669 0.387
P 0.232 0.669 0.113
P 0.768 0.331 0.887
P 0.923 0.196 0.609
P 0.183 0.576 0.980
P 0.817 0.076 0.980
P 0.077 0.804 0.391
P 0.558 0.245 0.079
P 0.558 0.245 0.421
P 0.768 0.331 0.613
P 0.923 0.304 0.391
P 0.817 0.076 0.520
P 0.183 0.576 0.520
P 0.183 0.924 0.020
P 0.768 0.169 0.113
P 0.923 0.196 0.891
P 0.442 0.755 0.579
P 0.817 0.424 0.020
P 0.923 0.304 0.109
P 0.442 0.745 0.421
P 0.232 0.831 0.887
Se 0.911 0.750 0.000
Se 0.391 0.583 0.895
Se 0.609 0.417 0.105
Se 0.609 0.083 0.605
Se 0.609 0.083 0.895
Se 0.609 0.417 0.395
Se 0.089 0.250 0.000
Se 0.391 0.583 0.605
Se 0.391 0.917 0.105
Se 0.911 0.750 0.500
Se 0.391 0.917 0.395
Se 0.089 0.250 0.500
I 0.278 0.388 0.250
I 0.908 0.930 0.750
I 0.092 0.430 0.750
I 0.908 0.570 0.250
I 0.722 0.888 0.250
I 0.278 0.112 0.750
I 0.092 0.070 0.250
I 0.722 0.612 0.750

- symmetry = Pbcm, No. 57
- final energy (eV per atom) = -4.47
- magnetization (μB per formula unit) = 0.00